Density functional theory data (PBE) for a relaxed LiSbS2 crystal.

Cell: 8.7035 8.7035 8.7035 Å, 107.71 107.71 107.71°
Sites, in units of the cell vectors:
Li 0.7466 0.9134 0.3101
Li 0.2534 0.0866 0.6899
Li 0.0866 0.6899 0.2534
Li 0.6899 0.2534 0.0866
Li 0.9134 0.3101 0.7466
Li 0.3101 0.7466 0.9134
Sb 0.5581 0.8528 0.6265
Sb 0.8528 0.6265 0.5581
Sb 0.6265 0.5581 0.8528
Sb 0.4419 0.1472 0.3735
Sb 0.1472 0.3735 0.4419
Sb 0.3735 0.4419 0.1472
S 0.2591 0.4120 0.8420
S 0.8420 0.2591 0.4120
S 0.5880 0.1580 0.7409
S 0.4120 0.8420 0.2591
S 0.7409 0.5880 0.1580
S 0.1580 0.7409 0.5880
S 0.3639 0.1374 0.0565
S 0.0565 0.3639 0.1374
S 0.1374 0.0565 0.3639
S 0.6361 0.8626 0.9435
S 0.9435 0.6361 0.8626
S 0.8626 0.9435 0.6361

Results
Calculated formation energy (meV per atom): -908.7
Spin magnetization (μB per cell): 0.00
Calculated volume (Å³/cell): 538.04
Energy with MP2020 corrections (eV per formula unit): -17.946